Record 1
Compound: Li4V2P3O12
Source: the Materials Project database
Functional: PBE+U
Structure: relaxed

Calculated values
Uncorrected energy: -6.9488 eV per atom
Energy above the most stable polymorph in this dataset: 10 meV per atom
DFT formation energy: -5418 kJ/mol of formula units

Lattice parameters (Å, degrees): 8.806 9.022 12.305 90.00 90.00 90.00
Atoms (fractional coordinates):
O (0.421, 0.352, 0.535)
O (0.079, 0.352, 0.465)
O (0.646, 0.457, 0.926)
P (0.394, 0.397, 0.651)
P (0.750, 0.051, 0.500)
P (0.106, 0.897, 0.151)
V (0.956, 0.750, 0.392)
Li (0.574, 0.043, 0.712)
O (0.160, 0.844, 0.423)
O (0.340, 0.344, 0.923)
Li (0.261, 0.706, 0.320)
O (0.766, 0.154, 0.193)
O (0.906, 0.932, 0.829)
P (0.894, 0.103, 0.849)
O (0.079, 0.852, 0.035)
O (0.421, 0.852, 0.965)
O (0.579, 0.648, 0.465)
P (0.606, 0.103, 0.151)
O (0.840, 0.656, 0.923)
Li (0.426, 0.457, 0.212)
V (0.956, 0.250, 0.108)
O (0.734, 0.654, 0.693)
P (0.894, 0.603, 0.651)
V (0.044, 0.750, 0.892)
O (0.579, 0.148, 0.035)
O (0.594, 0.932, 0.171)
V (0.044, 0.250, 0.608)
O (0.146, 0.043, 0.574)
O (0.977, 0.329, 0.275)
O (0.734, 0.154, 0.807)
O (0.146, 0.543, 0.926)
Li (0.739, 0.294, 0.680)
Li (0.261, 0.206, 0.180)
P (0.250, 0.949, 0.500)
P (0.750, 0.551, 0.000)
O (0.906, 0.432, 0.671)
O (0.234, 0.346, 0.693)
P (0.394, 0.897, 0.849)
O (0.523, 0.329, 0.725)
Li (0.761, 0.294, 0.320)
O (0.354, 0.043, 0.426)
O (0.266, 0.846, 0.193)
O (0.406, 0.568, 0.671)
V (0.544, 0.250, 0.892)
Li (0.926, 0.543, 0.212)
V (0.544, 0.750, 0.608)
O (0.266, 0.346, 0.307)
O (0.406, 0.068, 0.829)
Li (0.239, 0.206, 0.820)
O (0.766, 0.654, 0.307)
O (0.523, 0.829, 0.775)
O (0.477, 0.671, 0.275)
O (0.854, 0.457, 0.074)
Li (0.739, 0.794, 0.820)
Li (0.426, 0.957, 0.288)
O (0.023, 0.171, 0.775)
O (0.094, 0.568, 0.329)
P (0.106, 0.397, 0.349)
O (0.921, 0.648, 0.535)
V (0.456, 0.750, 0.108)
V (0.456, 0.250, 0.392)
O (0.660, 0.656, 0.077)
O (0.646, 0.957, 0.574)
Li (0.074, 0.457, 0.788)
O (0.340, 0.844, 0.577)
O (0.477, 0.171, 0.225)
O (0.977, 0.829, 0.225)
O (0.854, 0.957, 0.426)
O (0.023, 0.671, 0.725)
O (0.594, 0.432, 0.329)
O (0.234, 0.846, 0.807)
Li (0.926, 0.043, 0.288)
Li (0.074, 0.957, 0.712)
O (0.921, 0.148, 0.965)
O (0.840, 0.156, 0.577)
Li (0.574, 0.543, 0.788)
O (0.094, 0.068, 0.171)
O (0.160, 0.344, 0.077)
O (0.354, 0.543, 0.074)
Li (0.761, 0.794, 0.180)
O (0.660, 0.156, 0.423)
P (0.606, 0.603, 0.349)
Li (0.239, 0.706, 0.680)
P (0.250, 0.449, 0.000)

Record 2
Compound: ZnCoTe3O8
Source: the Materials Project database
Functional: PBE+U
Structure: relaxed

Calculated values
Uncorrected energy: -5.4108 eV per atom
DFT formation energy: -1939 kJ/mol of formula units

Lattice parameters (Å, degrees): 5.303 12.850 11.889 99.35 90.00 90.00
Atoms (fractional coordinates):
O (0.579, 0.081, 0.856)
Te (0.636, 0.000, 0.250)
Zn (0.290, 0.771, 0.156)
O (0.519, 0.266, 0.538)
Co (0.208, 0.271, 0.652)
O (0.490, 0.736, 0.468)
Te (0.197, 0.637, 0.556)
O (0.519, 0.734, 0.962)
Te (0.136, 0.500, 0.250)
Te (0.197, 0.363, 0.944)
O (0.019, 0.766, 0.538)
Te (0.359, 0.000, 0.750)
Te (0.697, 0.137, 0.556)
O (0.886, 0.386, 0.860)
O (0.990, 0.236, 0.468)
O (0.123, 0.197, 0.186)
O (0.612, 0.113, 0.139)
O (0.112, 0.613, 0.139)
Zn (0.290, 0.229, 0.344)
Zn (0.790, 0.729, 0.344)
O (0.579, 0.919, 0.644)
O (0.880, 0.196, 0.690)
O (0.380, 0.696, 0.690)
O (0.079, 0.581, 0.856)
Te (0.805, 0.637, 0.052)
O (0.123, 0.803, 0.314)
Te (0.805, 0.363, 0.448)
Te (0.697, 0.863, 0.944)
O (0.886, 0.614, 0.640)
O (0.079, 0.419, 0.644)
O (0.623, 0.697, 0.186)
O (0.019, 0.234, 0.962)
O (0.623, 0.303, 0.314)
O (0.112, 0.387, 0.361)
O (0.416, 0.918, 0.144)
Te (0.305, 0.137, 0.052)
O (0.386, 0.114, 0.640)
Te (0.859, 0.500, 0.750)
O (0.916, 0.582, 0.356)
O (0.380, 0.304, 0.810)
Co (0.208, 0.729, 0.848)
O (0.612, 0.887, 0.361)
Co (0.707, 0.771, 0.652)
O (0.990, 0.764, 0.032)
O (0.490, 0.264, 0.032)
Zn (0.790, 0.271, 0.156)
Co (0.707, 0.229, 0.848)
O (0.880, 0.804, 0.810)
O (0.916, 0.418, 0.144)
Te (0.305, 0.863, 0.448)
O (0.416, 0.082, 0.356)
O (0.386, 0.886, 0.860)

Record 3
Compound: Li7Co5O12
Source: the Materials Project database
Functional: PBE+U
Structure: relaxed

Calculated values
Uncorrected energy: -5.5669 eV per atom
Energy above the most stable polymorph in this dataset: 23 meV per atom
DFT formation energy: -4029 kJ/mol of formula units

Lattice parameters (Å, degrees): 6.408 6.408 4.907 82.65 82.65 83.47
Atoms (fractional coordinates):
Li (0.916, 0.587, 0.743)
O (0.610, 0.610, 0.631)
Li (0.587, 0.916, 0.743)
Li (0.084, 0.413, 0.257)
O (0.887, 0.887, 0.896)
Co (0.165, 0.835, 0.000)
Co (0.333, 0.667, 0.500)
O (0.063, 0.713, 0.357)
O (0.559, 0.225, 0.871)
O (0.113, 0.113, 0.104)
Li (0.413, 0.084, 0.257)
Li (0.245, 0.245, 0.740)
Co (0.500, 0.500, 0.000)
O (0.390, 0.390, 0.369)
O (0.775, 0.441, 0.129)
O (0.937, 0.287, 0.643)
O (0.287, 0.937, 0.643)
Co (0.835, 0.165, 0.000)
Co (0.667, 0.333, 0.500)
O (0.441, 0.775, 0.129)
O (0.713, 0.063, 0.357)
Li (0.755, 0.755, 0.260)
O (0.225, 0.559, 0.871)
Li (0.000, 0.000, 0.500)

Record 4
Compound: LiVSiO4
Source: the Materials Project database
Functional: PBE+U
Structure: relaxed

Calculated values
Uncorrected energy: -7.3270 eV per atom
Energy above the most stable polymorph in this dataset: 49 meV per atom
DFT formation energy: -1884 kJ/mol of formula units

Lattice parameters (Å, degrees): 5.796 5.796 8.018 90.00 90.00 90.19
Atoms (fractional coordinates):
O (0.240, 0.477, 0.365)
O (0.477, 0.240, 0.135)
O (0.239, 0.993, 0.875)
Li (0.287, 0.500, 0.625)
Si (0.757, 0.243, 0.500)
V (0.000, 0.726, 0.375)
O (0.240, 0.522, 0.885)
O (0.760, 0.478, 0.385)
O (0.763, 0.994, 0.875)
V (0.000, 0.274, 0.875)
Si (0.757, 0.757, 0.750)
Si (0.243, 0.243, 0.250)
O (0.994, 0.763, 0.625)
O (0.761, 0.007, 0.375)
Li (0.500, 0.713, 0.375)
O (0.478, 0.760, 0.115)
O (0.523, 0.760, 0.635)
O (0.760, 0.523, 0.865)
Li (0.713, 0.500, 0.125)
V (0.274, 0.000, 0.625)
O (0.993, 0.239, 0.625)
O (0.522, 0.240, 0.615)
O (0.006, 0.237, 0.125)
Li (0.500, 0.287, 0.875)
Si (0.243, 0.757, 0.000)
O (0.007, 0.761, 0.125)
O (0.237, 0.006, 0.375)
V (0.726, 0.000, 0.125)